Entry a
VASP calculation (PBE) on an optimized crystal structure of Sr4Nb3PO14.

Geometry as POSCAR:
```
Sr4Nb3PO14
1.0
4.0056 -0.0147 -0.5952
-0.0496 5.7341 -0.1802
-0.0524 -0.4416 13.5475
O Sr Nb P
14 4 3 1
Cartesian
1.3641 2.5047 9.2697
0.3377 0.6029 2.3082
0.0093 3.6514 0.1196
0.7642 1.4660 5.2284
3.1221 1.4626 7.2659
3.6767 3.9466 10.4352
0.8111 4.4656 5.6327
2.1857 2.2669 0.9842
3.5165 0.7759 10.0491
3.1377 4.1861 7.6003
2.5514 5.4276 3.5760
1.8491 5.2517 11.3884
0.4317 3.5915 3.0381
0.0329 0.2664 13.0468
1.1567 0.0249 7.8971
2.0970 5.4337 0.5830
1.6174 2.2966 11.8759
2.7873 2.9762 5.1403
0.6280 -0.1213 4.2997
3.3024 2.6967 8.6601
0.2174 2.4786 1.6142
3.3616 -0.3316 11.1627
```

Summary:
space-group type	P1 (1)
calculated volume	311	Å³ per cell



Entry b
VASP calculation (PBE) on an optimized crystal structure of Sr4Nb3PO14.

Geometry as POSCAR:
```
Sr4Nb3PO14
1.0
-0.2953 -4.0551 -0.1803
1.2310 -0.3225 5.6464
-12.8571 2.8104 2.0771
O Sr Nb P
14 4 3 1
Cartesian
-4.9666 0.2068 2.4736
-8.3283 0.2124 4.2769
-9.6203 -1.6983 4.9124
-7.1037 -1.7023 5.5208
-2.9378 -2.1098 6.1016
-10.5394 0.3829 6.8469
-7.5124 -1.7471 3.0648
-0.8183 -2.1049 2.5487
-1.9361 -0.0568 4.3472
-12.6721 -1.3475 2.9307
-12.0193 2.5738 5.9077
-4.6708 0.0796 5.4690
-2.2048 0.0879 1.3358
-10.0551 -1.4771 2.0604
-0.3654 -2.2549 5.5303
-5.0698 -1.8998 3.9167
-10.8986 0.5308 4.2121
-7.8845 0.5066 1.6110
-4.2784 0.2403 0.7600
-0.8858 -0.0565 2.8168
-10.4603 -1.6672 6.9194
-8.1229 -1.2958 4.4273
```

Summary:
space-group type	P1 (1)
calculated volume	310	Å³ per cell



So which one wins? Going from most stable to least: entry b, entry a.



Entry a
VASP calculation (PBE) on an optimized crystal structure of Nb2PbO6.

Geometry as POSCAR:
```
Nb2PbO6
1.0
5.0084 -5.3333 0.0000
5.0084 5.3333 0.0000
-0.6709 0.0000 7.2855
Pb O Nb
3 18 6
Cartesian
6.3633 0.0000 4.9605
2.9825 0.0000 2.3250
0.0000 0.0000 0.0000
3.5113 -2.4357 4.5185
3.4129 -3.8291 2.0082
4.3687 -2.3601 7.2840
5.8346 2.4357 2.7669
2.3231 1.5310 0.6941
8.4462 -1.4690 2.0534
7.0228 -1.5310 6.5913
6.1037 0.0012 1.1929
8.6502 0.0027 4.5036
2.3260 -1.5283 0.6905
5.9330 3.8291 5.2773
3.5101 2.4345 4.5201
5.8358 -2.4345 2.7653
0.6957 -0.0027 2.7818
4.9772 2.3601 0.0014
3.2421 -0.0012 6.0925
7.0199 1.5283 6.5950
0.8997 1.4690 5.2321
4.8207 3.7317 3.8130
6.4720 1.9034 0.9750
4.5252 -3.7317 3.4725
6.8476 -1.8282 1.2128
2.4982 1.8282 6.0726
2.8739 -1.9034 6.3104
```

Summary:
space-group type	R-3 (148)
calculated volume	389	Å³ per cell



Entry b
VASP calculation (PBE) on an optimized crystal structure of Nb2PbO6.

Geometry as POSCAR:
```
Nb2PbO6
1.0
9.0290 -9.3515 0.0000
9.0290 9.3515 0.0000
0.0000 0.0000 7.9038
O Pb Nb
60 10 20
Cartesian
11.6202 -5.5067 3.9180
10.8348 -3.7058 5.9279
9.0484 9.0496 1.9760
14.1148 -0.1271 0.0301
3.3299 -2.1140 1.9760
9.0216 -0.0555 5.9279
11.6202 -5.5067 0.0339
1.4220 1.2962 3.9609
11.6608 5.2052 4.0241
5.1625 -2.8972 4.0231
14.5932 1.8702 5.9279
10.4815 1.3258 3.9427
16.6360 1.2962 0.0090
10.3892 7.6925 7.8841
7.6222 -1.5436 0.0183
11.0425 3.2141 1.9760
7.5765 1.3258 7.8946
10.4359 -1.5436 3.9703
12.8205 2.5055 3.9721
14.7123 -2.2292 1.9760
9.0290 3.9837 3.9519
9.0096 9.0496 5.9279
14.1148 -0.1271 3.9218
3.4651 1.8860 5.9279
5.1625 -2.8972 7.8326
10.4815 1.3258 0.0092
1.4220 1.2962 7.8948
12.8955 -2.8972 0.0712
3.4648 1.8702 1.9760
14.5930 1.8860 1.9760
7.5765 1.3258 3.9611
9.0290 3.9837 0.0000
7.6688 7.6925 3.9322
12.8955 -2.8972 3.8807
9.0290 -4.1472 3.9519
5.2375 2.5055 3.9317
10.3892 7.6925 3.9716
6.4378 -5.5067 3.9858
5.2375 2.5055 0.0202
9.0365 -0.0555 1.9760
16.6360 1.2962 3.9429
6.3973 5.2052 3.8797
11.0631 3.1875 5.9279
9.0290 -4.1472 0.0000
14.7281 -2.1140 5.9279
7.6222 -1.5436 3.9336
7.0156 3.2141 5.9279
6.9949 3.1875 1.9760
11.6608 5.2052 7.8316
6.4378 -5.5067 7.8700
3.9433 -0.1271 3.9820
12.8205 2.5055 7.8836
6.3973 5.2052 0.0722
10.8678 -3.7183 1.9760
7.2232 -3.7058 1.9760
10.4359 -1.5436 7.8855
3.3457 -2.2292 5.9279
7.1902 -3.7183 5.9279
7.6688 7.6925 0.0197
3.9433 -0.1271 7.8737
13.6257 -4.4404 1.9760
9.0641 6.6735 5.9279
12.1238 0.9125 5.9279
8.9940 6.6735 1.9760
12.1238 0.8930 1.9760
9.0778 -5.4412 1.9760
5.9342 0.8930 5.9279
8.9803 -5.4412 5.9279
5.9342 0.9125 1.9760
4.4324 -4.4404 5.9279
7.0416 -3.2798 0.0317
3.3287 -1.8633 3.9205
9.0290 0.0706 0.0000
3.2722 2.1423 7.8913
14.7859 2.1423 3.9394
11.0165 -3.2798 7.8721
10.9451 3.5191 0.0186
9.0290 0.0706 3.9519
9.0290 -9.2702 0.0000
7.1130 3.5191 3.9705
9.0290 -9.2702 3.9519
14.7294 -1.8633 7.8724
3.2722 2.1423 3.9644
11.0165 -3.2798 3.9836
7.1130 3.5191 7.8853
3.3287 -1.8633 0.0314
7.0416 -3.2798 3.9202
14.7294 -1.8633 3.9833
10.9451 3.5191 3.9333
14.7859 2.1423 0.0125
```

Summary:
space-group type	Ama2 (40)
calculated volume	1335	Å³ per cell



So which one wins? Going from most stable to least: entry a, entry b.